Entry 1:
Compound: SrPrEuNbO6
Source: Materials Project
Functional: PBE
Structure: relaxed

Unit cell a=8.543 b=8.553 c=8.556 alpha=90.00 beta=90.00 gamma=90.00
Atoms (fractional coordinates):
Sr  0.000  0.500  0.500
Sr  0.500  0.500  0.000
Sr  0.500  0.000  0.000
Sr  0.000  0.000  0.500
Pr  0.250  0.250  0.250
Pr  0.750  0.750  0.250
Pr  0.750  0.250  0.750
Pr  0.250  0.750  0.750
Eu  0.500  0.000  0.500
Eu  0.000  0.500  0.000
Eu  0.000  0.000  0.000
Eu  0.500  0.500  0.500
Nb  0.750  0.750  0.750
Nb  0.250  0.250  0.750
Nb  0.250  0.750  0.250
Nb  0.750  0.250  0.250
O  0.979  0.201  0.289
O  0.021  0.799  0.289
O  0.021  0.201  0.711
O  0.979  0.799  0.711
O  0.288  0.979  0.201
O  0.288  0.021  0.799
O  0.712  0.021  0.201
O  0.712  0.979  0.799
O  0.199  0.290  0.979
O  0.801  0.290  0.021
O  0.199  0.710  0.021
O  0.801  0.710  0.979
O  0.521  0.299  0.211
O  0.479  0.701  0.211
O  0.479  0.299  0.789
O  0.521  0.701  0.789
O  0.212  0.521  0.299
O  0.212  0.479  0.701
O  0.788  0.479  0.299
O  0.788  0.521  0.701
O  0.301  0.210  0.521
O  0.699  0.210  0.479
O  0.301  0.790  0.479
O  0.699  0.790  0.521

Results
The value obtained for the formation enthalpy at 0 K is -33.160 eV/f.u. The space-group type is Pnnn (48). The calculation puts the total magnetization at 0.01 μB per formula unit. Its MP2020-corrected energy is -358.71 eV for the cell shown. For the total energy, the calculation gives -85.6 eV per formula unit. As for the energy above the most stable polymorph in this dataset: 0.0575 eV/atom.

---

Entry 2:
Compound: TiAlPd2
Source: Materials Project
Functional: PBE
Structure: relaxed

Unit cell a=2.920 b=2.920 c=7.151 alpha=90.00 beta=90.00 gamma=90.00
Atoms (fractional coordinates):
Ti  0.000  0.000  0.500
Al  0.000  0.000  0.000
Pd  0.500  0.500  0.229
Pd  0.500  0.500  0.771

Results
The value obtained for the formation enthalpy at 0 K is -2.923 eV/f.u. The space-group type is P4/mmm (123). The calculation puts the total magnetization at 0.77 μB per formula unit. For the total energy, the calculation gives -24.9 eV per formula unit.

---

Entry 3:
Compound: Pb2CO6
Source: Materials Project
Functional: PBE
Structure: relaxed

Unit cell a=8.386 b=8.386 c=8.386 alpha=33.81 beta=33.81 gamma=33.81
Atoms (fractional coordinates):
Pb  0.238  0.238  0.238
Pb  0.784  0.784  0.784
C  0.440  0.440  0.440
O  0.289  0.289  0.747
O  0.289  0.747  0.289
O  0.747  0.289  0.289
O  0.328  0.328  0.328
O  0.876  0.876  0.876
O  0.582  0.582  0.582

Results
The value obtained for the formation enthalpy at 0 K is -7.901 eV/f.u. The space-group type is R3m (160). The calculation puts the total magnetization at 3.06 μB per formula unit. Its MP2020-corrected energy is -54.24 eV for the cell shown. For the total energy, the calculation gives -50.1 eV per formula unit.

---

Copy entry 2 word for word.
Compound: TiAlPd2
Source: Materials Project
Functional: PBE
Structure: relaxed

Unit cell a=2.920 b=2.920 c=7.151 alpha=90.00 beta=90.00 gamma=90.00
Atoms (fractional coordinates):
Ti  0.000  0.000  0.500
Al  0.000  0.000  0.000
Pd  0.500  0.500  0.229
Pd  0.500  0.500  0.771

Results
The value obtained for the formation enthalpy at 0 K is -2.923 eV/f.u. The space-group type is P4/mmm (123). The calculation puts the total magnetization at 0.77 μB per formula unit. For the total energy, the calculation gives -24.9 eV per formula unit.